1.
The following is a DFT calculation (PBE) of crystalline MgTe4MoW3S4 at its relaxed geometry.

Summary:
**Total magnetic moment**: 0.01 Bohr magnetons per cell
**Formation energy**: -501 meV per atom

Unit cell a=3.356 b=3.356 c=45.302 alpha=90.00 beta=90.00 gamma=120.00
Positions (direct):
Mg  0.000  0.000  0.000
Te  0.333  0.667  0.239
Te  0.333  0.667  0.323
Te  0.667  0.333  0.675
Te  0.667  0.333  0.758
Mo  0.333  0.667  0.716
W  0.333  0.667  0.099
W  0.667  0.333  0.281
W  0.667  0.333  0.897
S  0.333  0.667  0.864
S  0.333  0.667  0.931
S  0.667  0.333  0.065
S  0.667  0.333  0.132

---

2.
The following is a DFT calculation (PBE) of crystalline Mn2CrSe3 at its relaxed geometry.

Summary:
**Total magnetic moment**: 13.13 Bohr magnetons per cell
**Formation energy**: -568 meV per atom

Unit cell a=6.545 b=6.545 c=6.545 alpha=146.20 beta=131.13 gamma=60.75
Positions (direct):
Mn  0.167  0.167  0.000
Mn  0.833  0.833  0.000
Cr  0.500  0.500  0.000
Se  0.000  0.500  0.500
Se  0.338  0.838  0.500
Se  0.662  0.162  0.500

---

3.
The following is a DFT calculation (PBE) of crystalline CaMg6Cd at its relaxed geometry.

Summary:
**Total magnetic moment**: 0.01 Bohr magnetons per cell
**Formation energy**: -32 meV per atom

Unit cell a=5.202 b=6.630 c=11.443 alpha=90.00 beta=90.00 gamma=90.00
Positions (direct):
Ca  0.000  0.500  0.331
Ca  0.000  0.000  0.831
Mg  0.000  0.253  0.082
Mg  0.000  0.747  0.082
Mg  0.000  0.500  0.836
Mg  0.500  0.257  0.919
Mg  0.500  0.743  0.919
Mg  0.500  0.500  0.667
Mg  0.000  0.753  0.582
Mg  0.000  0.247  0.582
Mg  0.000  0.000  0.336
Mg  0.500  0.757  0.419
Mg  0.500  0.243  0.419
Mg  0.500  0.000  0.167
Cd  0.500  0.500  0.164
Cd  0.500  0.000  0.664

---

4.
The following is a DFT calculation (PBE) of crystalline NdSbPd at its relaxed geometry.

Summary:
**Total magnetic moment**: 0.00 Bohr magnetons per cell
**Formation energy**: -868 meV per atom

Unit cell a=8.074 b=4.544 c=8.165 alpha=90.00 beta=90.00 gamma=90.00
Positions (direct):
Nd  0.250  0.000  0.007
Nd  0.250  0.500  0.491
Nd  0.750  0.000  0.993
Nd  0.750  0.500  0.509
Sb  0.003  0.000  0.678
Sb  0.497  0.000  0.678
Sb  0.503  0.000  0.322
Sb  0.997  0.000  0.322
Pd  0.017  0.500  0.834
Pd  0.483  0.500  0.834
Pd  0.517  0.500  0.166
Pd  0.983  0.500  0.166

---

5.
The following is a DFT calculation (PBE) of crystalline Sr2Zn2As3 at its relaxed geometry.

Summary:
**Formation energy**: -784 meV per atom

Unit cell a=8.476 b=8.476 c=12.089 alpha=124.99 beta=124.99 gamma=29.60
Positions (direct):
Sr  0.106  0.106  0.450
Sr  0.233  0.233  0.837
Sr  0.767  0.767  0.163
Sr  0.894  0.894  0.550
Zn  0.089  0.089  0.151
Zn  0.462  0.462  0.187
Zn  0.538  0.538  0.813
Zn  0.911  0.911  0.849
As  0.110  0.110  0.958
As  0.348  0.348  0.703
As  0.424  0.424  0.374
As  0.576  0.576  0.626
As  0.652  0.652  0.297
As  0.890  0.890  0.042

---

6.
The following is a DFT calculation (PBE) of crystalline Na5Y3TaSiP5O24 at its relaxed geometry.

Summary:
**Total magnetic moment**: 0.00 Bohr magnetons per cell
**Formation energy**: -3074 meV per atom

Unit cell a=9.223 b=9.242 c=23.377 alpha=89.99 beta=90.00 gamma=60.11
Positions (direct):
Na  0.000  0.000  0.000
Na  0.000  0.988  0.488
Na  0.311  0.647  0.913
Na  0.312  0.333  0.829
Na  0.331  0.685  0.574
Na  0.336  0.323  0.329
Na  0.371  0.620  0.242
Na  0.373  0.985  0.748
Na  0.632  0.990  0.242
Na  0.654  0.023  0.911
Na  0.666  0.647  0.154
Na  0.677  0.645  0.664
Na  0.692  0.961  0.575
Na  0.971  0.323  0.575
Na  0.989  0.356  0.239
Y  0.322  0.323  0.977
Y  0.331  0.332  0.682
Y  0.332  0.323  0.471
Y  0.334  0.323  0.171
Y  0.664  0.657  0.502
Y  0.665  0.654  0.313
Y  0.676  0.648  0.809
Y  0.994  0.990  0.644
Y  0.996  0.993  0.137
Ta  0.665  0.660  0.009
Ta  0.993  0.994  0.345
Ta  0.998  0.991  0.847
Si  0.371  0.947  0.907
Si  0.704  0.283  0.243
Si  0.959  0.661  0.909
P  0.000  0.276  0.744
P  0.018  0.335  0.075
P  0.033  0.619  0.576
P  0.284  0.991  0.245
P  0.285  0.701  0.746
P  0.334  0.025  0.578
P  0.343  0.624  0.073
P  0.350  0.666  0.407
P  0.627  0.326  0.576
P  0.631  0.013  0.073
P  0.673  0.361  0.910
P  0.673  0.960  0.407
P  0.704  0.992  0.745
P  0.969  0.344  0.407
P  0.999  0.702  0.245
O  0.008  0.159  0.795
O  0.012  0.797  0.580
O  0.019  0.799  0.298
O  0.089  0.363  0.132
O  0.115  0.510  0.629
O  0.133  0.313  0.025
O  0.144  0.537  0.523
O  0.145  0.319  0.411
O  0.153  0.520  0.916
O  0.161  0.528  0.242
O  0.168  0.807  0.798
O  0.169  0.275  0.746
O  0.170  0.007  0.298
O  0.175  0.828  0.399
O  0.177  0.002  0.581
O  0.183  0.958  0.899
O  0.192  0.800  0.077
O  0.208  0.797  0.690
O  0.211  0.956  0.192
O  0.290  0.157  0.242
O  0.297  0.530  0.747
O  0.306  0.140  0.526
O  0.322  0.537  0.020
O  0.328  0.514  0.411
O  0.357  0.126  0.916
O  0.359  0.103  0.633
O  0.368  0.520  0.129
O  0.428  0.694  0.462
O  0.456  0.692  0.750
O  0.459  0.644  0.354
O  0.464  0.842  0.252
O  0.473  0.811  0.961
O  0.474  0.869  0.849
O  0.493  0.849  0.571
O  0.508  0.635  0.064
O  0.518  0.353  0.629
O  0.522  0.289  0.242
O  0.523  0.136  0.411
O  0.527  0.328  0.919
O  0.528  0.088  0.129
O  0.529  0.151  0.746
O  0.545  0.297  0.523
O  0.547  0.120  0.020
O  0.633  0.469  0.857
O  0.642  0.837  0.064
O  0.646  0.484  0.570
O  0.652  0.875  0.354
O  0.678  0.471  0.249
O  0.679  0.838  0.748
O  0.700  0.451  0.962
O  0.701  0.855  0.462
O  0.796  0.978  0.689
O  0.805  0.169  0.580
O  0.809  0.002  0.798
O  0.810  0.984  0.078
O  0.813  0.156  0.299
O  0.825  0.197  0.190
O  0.828  0.689  0.964
O  0.835  0.183  0.900
O  0.838  0.971  0.399
O  0.842  0.497  0.064
O  0.844  0.681  0.252
O  0.847  0.450  0.747
O  0.856  0.637  0.570
O  0.864  0.419  0.462
O  0.880  0.632  0.853
O  0.883  0.451  0.354
O  0.960  0.845  0.900
O  0.972  0.807  0.192
O  0.983  0.167  0.399
O  0.988  0.200  0.687
O  0.995  0.182  0.078

---

7.
The following is a DFT calculation (PBE) of crystalline Ti20Sb9Se3 at its relaxed geometry.

Summary:
**Total magnetic moment**: 0.39 Bohr magnetons per cell
**Formation energy**: -637 meV per atom

Unit cell a=6.983 b=8.287 c=10.194 alpha=90.00 beta=90.09 gamma=90.00
Positions (direct):
Ti  0.000  0.000  0.000
Ti  0.001  0.500  0.000
Ti  0.032  0.209  0.717
Ti  0.032  0.791  0.717
Ti  0.143  0.198  0.218
Ti  0.143  0.802  0.218
Ti  0.166  0.500  0.498
Ti  0.181  0.000  0.485
Ti  0.301  0.500  0.775
Ti  0.348  0.000  0.768
Ti  0.485  0.500  0.065
Ti  0.505  0.000  0.047
Ti  0.525  0.302  0.328
Ti  0.525  0.698  0.328
Ti  0.638  0.317  0.830
Ti  0.638  0.683  0.830
Ti  0.652  0.000  0.534
Ti  0.684  0.500  0.562
Ti  0.803  0.000  0.270
Ti  0.864  0.500  0.278
Sb  0.264  0.243  0.951
Sb  0.264  0.757  0.951
Sb  0.406  0.261  0.596
Sb  0.406  0.739  0.596
Sb  0.747  0.000  0.798
Sb  0.762  0.260  0.099
Sb  0.762  0.740  0.099
Sb  0.905  0.241  0.450
Sb  0.905  0.759  0.450
Se  0.251  0.500  0.256
Se  0.417  0.000  0.295
Se  0.918  0.500  0.755

---

8.
The following is a DFT calculation (PBE) of crystalline Mg2B4H15 at its relaxed geometry.

Summary:
**Total magnetic moment**: 0.00 Bohr magnetons per cell
**Formation energy**: -330 meV per atom

Unit cell a=7.956 b=8.032 c=10.159 alpha=87.55 beta=88.39 gamma=89.68
Positions (direct):
Mg  0.000  0.000  0.000
Mg  0.058  0.174  0.679
Mg  0.489  0.904  0.269
Mg  0.549  0.352  0.475
B  0.108  0.268  0.904
B  0.251  0.932  0.120
B  0.312  0.202  0.554
B  0.420  0.107  0.421
B  0.527  0.628  0.383
B  0.746  0.941  0.132
B  0.815  0.285  0.561
B  0.933  0.911  0.776
H  0.037  0.341  0.812
H  0.050  0.930  0.695
H  0.136  0.018  0.165
H  0.175  0.136  0.871
H  0.176  0.254  0.511
H  0.215  0.355  0.947
H  0.225  0.875  0.012
H  0.266  0.812  0.197
H  0.298  0.096  0.644
H  0.310  0.029  0.370
H  0.369  0.324  0.610
H  0.374  0.023  0.106
H  0.388  0.689  0.367
H  0.478  0.201  0.329
H  0.534  0.504  0.315
H  0.538  0.015  0.456
H  0.541  0.601  0.502
H  0.631  0.853  0.099
H  0.647  0.714  0.347
H  0.688  0.293  0.632
H  0.727  0.003  0.240
H  0.755  0.059  0.051
H  0.800  0.329  0.444
H  0.821  0.832  0.731
H  0.856  0.138  0.561
H  0.871  0.851  0.140
H  0.873  0.046  0.811
H  0.917  0.381  0.604
H  0.993  0.244  0.987
H  0.997  0.830  0.868